Crystalline TaNi3 at its relaxed geometry. Source: the Materials Project, functional PBE.

## Properties
calculated volume	12.311	Å³/atom
E_tot	-7.66	eV/atom
energy relative to the elements	-0.3584	eV per atom

Structure (CIF):
```
data_TaNi3
_cell_length_a 4.540
_cell_length_b 5.117
_cell_length_c 8.632
_cell_angle_alpha 90.00
_cell_angle_beta 100.82
_cell_angle_gamma 90.00
_symmetry_space_group_name_H-M 'P 1 21/m 1'
_symmetry_Int_Tables_number 11
_symmetry_space_group_name_Hall '-P 2yb'
loop_
_atom_site_label
_atom_site_type_symbol
_atom_site_fract_x
_atom_site_fract_y
_atom_site_fract_z
Ta1 Ta 0.112 0.250 0.378
Ta2 Ta 0.290 0.250 0.872
Ni1 Ni 0.132 0.750 0.376
Ni2 Ni 0.205 0.001 0.123
Ni3 Ni 0.299 0.750 0.874
Ni4 Ni 0.386 0.503 0.627
```

***

Crystalline CaTa5P9O36 at its relaxed geometry. Source: the Materials Project, functional PBE.

## Properties
calculated volume	15.111	Å³/atom
E_tot	-8.18	eV/atom
energy relative to the elements	-3.0134	eV per atom

Structure (CIF):
```
data_CaTa5P9O36
_cell_length_a 8.8393
_cell_length_b 8.8393
_cell_length_c 22.7786
_cell_angle_alpha 90.00
_cell_angle_beta 90.00
_cell_angle_gamma 120.00
_symmetry_space_group_name_H-M 'P 3 c 1'
_symmetry_Int_Tables_number 158
_symmetry_space_group_name_Hall 'P 3 -2"c'
loop_
_atom_site_label
_atom_site_type_symbol
_atom_site_fract_x
_atom_site_fract_y
_atom_site_fract_z
Ca1 Ca 0.0000 0.0000 0.0000
Ta1 Ta 0.0000 0.0000 0.2877
Ta2 Ta 0.3333 0.6667 0.1668
Ta3 Ta 0.3333 0.6667 0.4519
Ta4 Ta 0.6667 0.3333 0.1165
Ta5 Ta 0.6667 0.3333 0.3295
P1 P 0.0000 0.2913 0.3914
P2 P 0.0504 0.3905 0.0607
P3 P 0.3810 0.0507 0.7246
O1 O 0.0299 0.1989 0.3368
O2 O 0.0303 0.2140 0.0591
O3 O 0.1328 0.4911 0.7156
O4 O 0.1364 0.5058 0.0050
O5 O 0.1610 0.4905 0.1155
O6 O 0.1656 0.4755 0.3991
O7 O 0.1988 0.0293 0.7367
O8 O 0.2326 0.0473 0.4458
O9 O 0.4679 0.1676 0.6708
O10 O 0.4762 0.1517 0.3734
O11 O 0.4972 0.1357 0.7783
O12 O 0.5132 0.1296 0.0704
```

***

Crystalline Sr2ZrTiO6 at its relaxed geometry. Source: the Materials Project, functional PBE.

## Properties
calculated volume	13.640	Å³/atom
E_tot	-8.10	eV/atom
energy relative to the elements	-3.5623	eV per atom

Structure (CIF):
```
data_Sr2ZrTiO6
_cell_length_a 4.058
_cell_length_b 4.058
_cell_length_c 8.283
_cell_angle_alpha 90.00
_cell_angle_beta 90.00
_cell_angle_gamma 90.00
_symmetry_space_group_name_H-M 'P 4 m m'
_symmetry_Int_Tables_number 99
_symmetry_space_group_name_Hall 'P 4 -2'
loop_
_atom_site_label
_atom_site_type_symbol
_atom_site_fract_x
_atom_site_fract_y
_atom_site_fract_z
Sr1 Sr 0.000 0.000 0.000
Sr2 Sr 0.000 0.000 0.464
Zr1 Zr 0.500 0.500 0.718
Ti1 Ti 0.500 0.500 0.220
O1 O 0.000 0.500 0.203
O2 O 0.000 0.500 0.679
O3 O 0.500 0.500 0.439
O4 O 0.500 0.500 0.964
```

***

Crystalline BaNa4Ti2Si10B2O30 at its relaxed geometry. Source: the Materials Project, functional PBE.

## Properties
ΔE to the lowest computed polymorph	171.5	meV per atom
calculated volume	13.037	Å³/atom
E_tot	-7.45	eV/atom
energy relative to the elements	-2.9876	eV per atom

Structure (CIF):
```
data_BaNa4Ti2Si10B2O30
_cell_length_a 7.568
_cell_length_b 9.755
_cell_length_c 9.761
_cell_angle_alpha 62.97
_cell_angle_beta 85.89
_cell_angle_gamma 84.77
_symmetry_space_group_name_H-M 'P -1'
_symmetry_Int_Tables_number 2
_symmetry_space_group_name_Hall '-P 1'
loop_
_atom_site_label
_atom_site_type_symbol
_atom_site_fract_x
_atom_site_fract_y
_atom_site_fract_z
Ba1 Ba 0.000 0.000 0.000
Na1 Na 0.427 0.735 0.064
Na2 Na 0.436 0.266 0.385
Ti1 Ti 0.425 0.107 0.730
Si1 Si 0.103 0.589 0.353
Si2 Si 0.172 0.945 0.706
Si3 Si 0.184 0.602 0.836
Si4 Si 0.226 0.902 0.313
Si5 Si 0.286 0.377 0.700
B1 B 0.140 0.542 0.145
O1 O 0.021 0.428 0.162
O2 O 0.046 0.024 0.268
O3 O 0.053 0.679 0.160
O4 O 0.114 0.451 0.581
O5 O 0.153 0.729 0.389
O6 O 0.208 0.780 0.699
O7 O 0.244 0.481 0.295
O8 O 0.253 0.582 0.001
O9 O 0.259 0.099 0.580
O10 O 0.279 0.203 0.843
O11 O 0.287 0.924 0.854
O12 O 0.320 0.497 0.772
O13 O 0.351 0.926 0.157
O14 O 0.381 0.928 0.405
O15 O 0.442 0.334 0.600
```

***

Crystalline La5Pb3S at its relaxed geometry. Source: the Materials Project, functional PBE.

## Properties
calculated volume	32.267	Å³/atom
E_tot	-5.44	eV/atom
energy relative to the elements	-1.0558	eV per atom

Structure (CIF):
```
data_La5Pb3S
_cell_length_a 9.6867
_cell_length_b 9.6867
_cell_length_c 7.1475
_cell_angle_alpha 90.00
_cell_angle_beta 90.00
_cell_angle_gamma 120.00
_symmetry_space_group_name_H-M 'P 63/m c m'
_symmetry_Int_Tables_number 193
_symmetry_space_group_name_Hall '-P 6c 2'
loop_
_atom_site_label
_atom_site_type_symbol
_atom_site_fract_x
_atom_site_fract_y
_atom_site_fract_z
La1 La 0.0000 0.2399 0.2500
La2 La 0.3333 0.6667 0.0000
Pb1 Pb 0.0000 0.3988 0.7500
S1 S 0.0000 0.0000 0.0000
```

***

Crystalline Er5Ga3 at its relaxed geometry. Source: the Materials Project, functional PBE.

## Properties
calculated volume	25.430	Å³/atom
E_tot	-4.47	eV/atom
energy relative to the elements	-0.4786	eV per atom

Structure (CIF):
```
data_Er5Ga3
_cell_length_a 8.5310
_cell_length_b 8.5310
_cell_length_c 6.4556
_cell_angle_alpha 90.00
_cell_angle_beta 90.00
_cell_angle_gamma 120.00
_symmetry_space_group_name_H-M 'P 63/m c m'
_symmetry_Int_Tables_number 193
_symmetry_space_group_name_Hall '-P 6c 2'
loop_
_atom_site_label
_atom_site_type_symbol
_atom_site_fract_x
_atom_site_fract_y
_atom_site_fract_z
Er1 Er 0.0000 0.2436 0.2500
Er2 Er 0.3333 0.6667 0.0000
Ga1 Ga 0.0000 0.4011 0.7500
```

***

Crystalline USb2O6 at its relaxed geometry. Source: the Materials Project, functional PBE.

## Properties
calculated volume	15.896	Å³/atom
E_tot	-7.59	eV/atom
energy relative to the elements	-2.5768	eV per atom

Structure (CIF):
```
data_USb2O6
_cell_length_a 13.734
_cell_length_b 4.013
_cell_length_c 5.372
_cell_angle_alpha 90.00
_cell_angle_beta 104.89
_cell_angle_gamma 90.00
_symmetry_space_group_name_H-M 'C 1 2/m 1'
_symmetry_Int_Tables_number 12
_symmetry_space_group_name_Hall '-C 2y'
loop_
_atom_site_label
_atom_site_type_symbol
_atom_site_fract_x
_atom_site_fract_y
_atom_site_fract_z
U1 U 0.000 0.000 0.000
Sb1 Sb 0.190 0.500 0.747
O1 O 0.067 0.500 0.879
O2 O 0.086 0.000 0.326
O3 O 0.196 0.000 0.906
```

***

Crystalline BaBPd4 at its relaxed geometry. Source: the Materials Project, functional PBE.

## Properties
calculated volume	18.080	Å³/atom
E_tot	-5.37	eV/atom
energy relative to the elements	-0.4846	eV per atom

Structure (CIF):
```
data_BaBPd4
_cell_length_a 6.258
_cell_length_b 5.708
_cell_length_c 12.148
_cell_angle_alpha 90.00
_cell_angle_beta 90.00
_cell_angle_gamma 90.00
_symmetry_space_group_name_H-M 'P n m a'
_symmetry_Int_Tables_number 62
_symmetry_space_group_name_Hall '-P 2ac 2n'
loop_
_atom_site_label
_atom_site_type_symbol
_atom_site_fract_x
_atom_site_fract_y
_atom_site_fract_z
Ba1 Ba 0.185 0.250 0.164
B1 B 0.099 0.250 0.552
Pd1 Pd 0.064 0.750 0.059
Pd2 Pd 0.111 0.250 0.732
Pd3 Pd 0.165 0.506 0.418
```

***

Copy entry 7 word for word.
Crystalline USb2O6 at its relaxed geometry. Source: the Materials Project, functional PBE.

## Properties
calculated volume	15.896	Å³/atom
E_tot	-7.59	eV/atom
energy relative to the elements	-2.5768	eV per atom

Structure (CIF):
```
data_USb2O6
_cell_length_a 13.734
_cell_length_b 4.013
_cell_length_c 5.372
_cell_angle_alpha 90.00
_cell_angle_beta 104.89
_cell_angle_gamma 90.00
_symmetry_space_group_name_H-M 'C 1 2/m 1'
_symmetry_Int_Tables_number 12
_symmetry_space_group_name_Hall '-C 2y'
loop_
_atom_site_label
_atom_site_type_symbol
_atom_site_fract_x
_atom_site_fract_y
_atom_site_fract_z
U1 U 0.000 0.000 0.000
Sb1 Sb 0.190 0.500 0.747
O1 O 0.067 0.500 0.879
O2 O 0.086 0.000 0.326
O3 O 0.196 0.000 0.906
```